(1)
Below is Mg6AlCd after structural relaxation, with properties calculated at the PBE level.

a = 5.0731 Å, b = 6.2676 Å, c = 10.9382 Å
α = 90.00°, β = 90.00°, γ = 90.00°
With the nearest neighbours (Å) after each atom.
Element x y z (fractional)
Mg 0.5000 0.2526 0.4151  2 Al 3.10, 8 Mg 3.10-3.17, 2 Cd 3.13-3.17
Mg 0.0000 0.2497 0.5838  2 Cd 3.11, 8 Mg 3.12-3.16, 2 Al 3.13-3.17
Mg 0.5000 0.5000 0.6669  10 Mg 3.12-3.16, 2 Cd 3.13
Mg 0.5000 0.7474 0.4151  2 Al 3.10, 8 Mg 3.10-3.17, 2 Cd 3.13-3.17
Mg 0.5000 0.2474 0.9151  2 Al 3.10, 8 Mg 3.10-3.17, 2 Cd 3.13-3.17
Mg 0.0000 0.7497 0.0838  2 Cd 3.11, 8 Mg 3.12-3.16, 2 Al 3.13-3.17
Mg 0.0000 0.0000 0.3330  10 Mg 3.12-3.16, 2 Al 3.13
Mg 0.5000 0.0000 0.1669  10 Mg 3.12-3.16, 2 Cd 3.13
Mg 0.0000 0.7503 0.5838  2 Cd 3.11, 8 Mg 3.12-3.16, 2 Al 3.13-3.17
Mg 0.5000 0.7526 0.9151  2 Al 3.10, 8 Mg 3.10-3.17, 2 Cd 3.13-3.17
Mg 0.0000 0.5000 0.8330  10 Mg 3.12-3.16, 2 Al 3.13
Mg 0.0000 0.2503 0.0838  2 Cd 3.11, 8 Mg 3.12-3.16, 2 Al 3.13-3.17
Al 0.0000 0.5000 0.3360  10 Mg 3.10-3.17, 2 Cd 3.14
Al 0.0000 0.0000 0.8360  10 Mg 3.10-3.17, 2 Cd 3.14
Cd 0.5000 0.0000 0.6662  10 Mg 3.11-3.17, 2 Al 3.14
Cd 0.5000 0.5000 0.1662  10 Mg 3.11-3.17, 2 Al 3.14

Properties
polymorph energy (0 for the lowest one) = 4 meV/atom
E_form = -0.002 eV/atom
total moment = 0.00 μB/atom
total energy = -0.131 Ry/atom


(2)
Below is Al2Cd3N4 after structural relaxation, with properties calculated at the PBE level.

a = 6.6371 Å, b = 6.6371 Å, c = 5.6098 Å
α = 92.52°, β = 92.52°, γ = 87.42°
With the nearest neighbours (Å) after each atom.
Element x y z (fractional)
Al 0.1114 0.3397 0.4035  4 N 1.90-1.94
Al 0.3397 0.1114 0.9035  4 N 1.90-1.94
Al 0.6603 0.8886 0.0965  4 N 1.90-1.94
Al 0.8886 0.6603 0.5965  4 N 1.90-1.94
Cd 0.1063 0.8937 0.2500  6 N 2.43-2.67
Cd 0.2268 0.5519 0.9322  3 N 2.21-2.45
Cd 0.4481 0.7732 0.5678  3 N 2.21-2.45
Cd 0.5519 0.2268 0.4322  3 N 2.21-2.45
Cd 0.7732 0.4481 0.0678  3 N 2.21-2.45
Cd 0.8937 0.1063 0.7500  6 N 2.43-2.67
N 0.1341 0.2580 0.0730  2 Al 1.90-1.92
N 0.1663 0.6090 0.5067  2 Al 1.90-1.94
N 0.2580 0.1341 0.5730  2 Al 1.90-1.92
N 0.3910 0.8337 0.9933  2 Al 1.90-1.94
N 0.6090 0.1663 0.0067  2 Al 1.90-1.94
N 0.7420 0.8659 0.4270  2 Al 1.90-1.92
N 0.8337 0.3910 0.4933  2 Al 1.90-1.94
N 0.8659 0.7420 0.9270  2 Al 1.90-1.92

Properties
E_form = -0.326 eV/atom
E (MP2020) = -5.172 eV per atom
total moment = 0.00 μB/atom
total energy = -0.368 Ry/atom


(3)
Below is Al22CdO34 after structural relaxation, with properties calculated at the PBE level.

a = 9.7780 Å, b = 11.3003 Å, c = 11.8107 Å
α = 90.00°, β = 105.80°, γ = 90.00°
With the nearest neighbours (Å) after each atom.
Element x y z (fractional)
Al 0.0000 0.0000 0.0000  6 O 1.90-1.92
Al 0.0000 0.5000 0.0000  6 O 1.90-1.92
Al 0.0462 0.2500 0.6468  4 O 1.76-1.81
Al 0.0575 0.7500 0.6490  4 O 1.77-1.79
Al 0.0965 0.0014 0.7853  4 O 1.81-2.01
Al 0.0965 0.4986 0.7853  4 O 1.81-2.01
Al 0.1500 0.7500 0.9478  4 O 1.81-1.84
Al 0.1509 0.2500 0.9512  4 O 1.81-1.82
Al 0.1540 0.1270 0.2169  4 O 1.81-2.01
Al 0.1540 0.3730 0.2169  4 O 1.81-2.01
Al 0.1535 0.6237 0.2075  6 O 1.81-2.02
Al 0.1535 0.8763 0.2075  6 O 1.81-2.02
Al 0.3429 0.1250 0.7851  4 O 1.81-1.99
Al 0.3429 0.3750 0.7851  4 O 1.81-1.99
Al 0.3454 0.6226 0.7865  5 O 1.82-2.02
Al 0.3454 0.8774 0.7865  5 O 1.82-2.02
Al 0.3514 0.0020 0.0510  4 O 1.81-1.83
Al 0.3514 0.4980 0.0510  4 O 1.81-1.83
Al 0.4031 0.2500 0.2153  4 O 1.82-2.01
Al 0.4039 0.7500 0.2123  4 O 1.81-1.99
Al 0.4503 0.0002 0.3511  4 O 1.69-1.82
Al 0.4503 0.4998 0.3511  4 O 1.69-1.82
Al 0.4979 0.7500 0.9998  6 O 1.90-1.91
Al 0.5021 0.2500 0.0002  6 O 1.90-1.91
Al 0.5497 0.9998 0.6489  4 O 1.69-1.82
Al 0.5497 0.5002 0.6489  4 O 1.69-1.82
Al 0.5961 0.2500 0.7877  4 O 1.81-1.99
Al 0.5969 0.7500 0.7847  4 O 1.82-2.01
Al 0.6486 0.5020 0.9490  4 O 1.81-1.83
Al 0.6486 0.9980 0.9490  4 O 1.81-1.83
Al 0.6546 0.1226 0.2135  5 O 1.82-2.02
Al 0.6546 0.3774 0.2135  5 O 1.82-2.02
Al 0.6571 0.6250 0.2149  4 O 1.81-1.99
Al 0.6571 0.8750 0.2149  4 O 1.81-1.99
Al 0.8465 0.1237 0.7925  6 O 1.81-2.02
Al 0.8465 0.3763 0.7925  6 O 1.81-2.02
Al 0.8460 0.6270 0.7831  4 O 1.81-2.01
Al 0.8460 0.8730 0.7831  4 O 1.81-2.01
Al 0.8491 0.7500 0.0488  4 O 1.81-1.82
Al 0.8500 0.2500 0.0522  4 O 1.81-1.84
Al 0.9035 0.5014 0.2147  4 O 1.81-2.01
Al 0.9035 0.9986 0.2147  4 O 1.81-2.01
Al 0.9425 0.2500 0.3510  4 O 1.77-1.79
Al 0.9538 0.7500 0.3532  4 O 1.76-1.81
Cd 0.2831 0.7500 0.4663  4 O 2.32-2.60
Cd 0.7169 0.2500 0.5337  4 O 2.32-2.60
O 0.0451 0.1186 0.9012  3 Al 1.81-2.02
O 0.0451 0.3814 0.9012  3 Al 1.81-2.02
O 0.0451 0.6176 0.9011  2 Al 1.81-1.90
O 0.0451 0.8824 0.9011  2 Al 1.81-1.90
O 0.0596 0.7500 0.4998  2 Al 1.76-1.77
O 0.0939 0.5016 0.2818  3 Al 1.81
O 0.0939 0.9984 0.2818  3 Al 1.81
O 0.0949 0.2500 0.2943  3 Al 1.79-1.84
O 0.1015 0.7500 0.2878  3 Al 1.81-1.86
O 0.1523 0.1263 0.7092  3 Al 1.78-1.83
O 0.1523 0.3737 0.7092  3 Al 1.78-1.83
O 0.1560 0.6228 0.7133  3 Al 1.78-1.82
O 0.1560 0.8772 0.7133  3 Al 1.78-1.82
O 0.1909 0.5014 0.0994  3 Al 1.81-1.98
O 0.1909 0.9986 0.0994  3 Al 1.81-1.98
O 0.2025 0.2500 0.1117  4 Al 1.82-2.01
O 0.2047 0.7500 0.1097  4 Al 1.84-1.99
O 0.2967 0.0030 0.8904  4 Al 1.83-2.02
O 0.2967 0.4970 0.8904  4 Al 1.83-2.02
O 0.3104 0.7500 0.8983  2 Al 1.82-1.90
O 0.3116 0.2500 0.9026  2 Al 1.81-1.90
O 0.3434 0.6307 0.2977  3 Al 1.82-1.87
O 0.3434 0.8693 0.2977  3 Al 1.82-1.87
O 0.3450 0.1246 0.2873  3 Al 1.78-1.83
O 0.3450 0.3754 0.2873  3 Al 1.78-1.83
O 0.4016 0.7500 0.7072  3 Al 1.88
O 0.4044 0.0012 0.7130  3 Al 1.78-1.82
O 0.4044 0.4988 0.7130  3 Al 1.78-1.82
O 0.4071 0.2500 0.7183  3 Al 1.81
O 0.4510 0.6326 0.0991  3 Al 1.81-2.02
O 0.4510 0.8674 0.0991  3 Al 1.81-2.02
O 0.4580 0.1338 0.1015  3 Al 1.82-2.02
O 0.4580 0.3662 0.1015  3 Al 1.82-2.02
O 0.5000 0.0000 0.5000  2 Al 1.69
O 0.5000 0.5000 0.5000  2 Al 1.69
O 0.5420 0.6338 0.8985  3 Al 1.82-2.02
O 0.5420 0.8662 0.8985  3 Al 1.82-2.02
O 0.5490 0.1326 0.9009  3 Al 1.81-2.02
O 0.5490 0.3674 0.9009  3 Al 1.81-2.02
O 0.5929 0.7500 0.2817  3 Al 1.81
O 0.5956 0.5012 0.2870  3 Al 1.78-1.82
O 0.5956 0.9988 0.2870  3 Al 1.78-1.82
O 0.5984 0.2500 0.2928  3 Al 1.88
O 0.6550 0.6246 0.7127  3 Al 1.78-1.83
O 0.6550 0.8754 0.7127  3 Al 1.78-1.83
O 0.6566 0.1307 0.7023  3 Al 1.82-1.87
O 0.6566 0.3693 0.7023  3 Al 1.82-1.87
O 0.6884 0.7500 0.0974  2 Al 1.81-1.90
O 0.6896 0.2500 0.1017  2 Al 1.82-1.90
O 0.7033 0.5030 0.1096  4 Al 1.83-2.02
O 0.7033 0.9970 0.1096  4 Al 1.83-2.02
O 0.7953 0.2500 0.8903  4 Al 1.84-1.99
O 0.7975 0.7500 0.8883  4 Al 1.82-2.01
O 0.8091 0.0014 0.9006  3 Al 1.81-1.98
O 0.8091 0.4986 0.9006  3 Al 1.81-1.98
O 0.8440 0.1228 0.2867  3 Al 1.78-1.82
O 0.8440 0.3772 0.2867  3 Al 1.78-1.82
O 0.8477 0.6263 0.2908  3 Al 1.78-1.83
O 0.8477 0.8737 0.2908  3 Al 1.78-1.83
O 0.8985 0.2500 0.7122  3 Al 1.81-1.86
O 0.9051 0.7500 0.7057  3 Al 1.79-1.84
O 0.9061 0.0016 0.7182  3 Al 1.81
O 0.9061 0.4984 0.7182  3 Al 1.81
O 0.9404 0.2500 0.5002  2 Al 1.76-1.77
O 0.9549 0.1176 0.0989  2 Al 1.81-1.90
O 0.9549 0.3824 0.0989  2 Al 1.81-1.90
O 0.9549 0.6186 0.0988  3 Al 1.81-2.02
O 0.9549 0.8814 0.0988  3 Al 1.81-2.02

Properties
E_form = -3.328 eV/atom
E (MP2020) = -7.741 eV per atom
total moment = 0.00 μB/atom
total energy = -0.539 Ry/atom